Record 1
# La2Ga12Pd (PBE-GGA, relaxed)
data_La2Ga12Pd
_chemical_formula_sum 'La4 Ga24 Pd2'
_symmetry_space_group_name_H-M 'P 4/n b m'
_symmetry_Int_Tables_number 125
_cell_length_a 6.1765
_cell_length_b 6.1765
_cell_length_c 15.8586
_cell_angle_alpha 90.00
_cell_angle_beta 90.00
_cell_angle_gamma 90.00
loop_
_symmetry_equiv_pos_as_xyz
'x,y,z'
'-x,-y,-z'
'-y+1/2,x,z'
'y+1/2,-x,-z'
'-x+1/2,-y+1/2,z'
'x+1/2,y+1/2,-z'
'y,-x+1/2,z'
'-y,x+1/2,-z'
'x,-y+1/2,-z'
'-x,y+1/2,z'
'-y+1/2,-x+1/2,-z'
'y+1/2,x+1/2,z'
'-x+1/2,y,-z'
'x+1/2,-y,z'
'y,x,-z'
'-y,-x,z'
loop_
_atom_site_label
_atom_site_fract_x
_atom_site_fract_y
_atom_site_fract_z
La1 0.2500 0.7500 0.2464
Ga1 0.0003 0.9997 0.0880
Ga2 0.0706 0.5706 0.4286
Ga3 0.2500 0.2500 0.1840
Ga4 0.2500 0.2500 0.3415
Pd1 0.2500 0.7500 0.0000
# Formation energy from the elements   -457 meV/atom
# Density   6.70 Mg/m³



Record 2
# Sn3P4 (PBE-GGA, relaxed)
data_Sn3P4
_chemical_formula_sum 'Sn6 P8'
_symmetry_space_group_name_H-M 'C 1 2 1'
_symmetry_Int_Tables_number 5
_symmetry_space_group_name_Hall 'C 2y'
_cell_length_a 7.0365
_cell_length_b 5.1165
_cell_length_c 10.8800
_cell_angle_alpha 90.00
_cell_angle_beta 104.73
_cell_angle_gamma 90.00
loop_
_atom_site_label
_atom_site_fract_x
_atom_site_fract_y
_atom_site_fract_z
Sn1 0.0000 0.0000 0.0000
Sn2 0.2060 0.0415 0.6281
P1 0.1018 0.5445 0.6891
P2 0.2200 0.7908 0.8544
# M_tot   0.0 μB/f.u.
# Formation energy from the elements   179 meV/atom
# Density   4.21 Mg/m³



Record 3
# Nd2MnFe3Ge4 (PBE-GGA, relaxed)
data_Nd2MnFe3Ge4
_chemical_formula_sum 'Nd2 Mn1 Fe3 Ge4'
_symmetry_space_group_name_H-M 'P -4 m 2'
_symmetry_Int_Tables_number 115
_symmetry_space_group_name_Hall 'P -4 -2'
_cell_length_a 4.0556
_cell_length_b 4.0556
_cell_length_c 10.4007
_cell_angle_alpha 90.00
_cell_angle_beta 90.00
_cell_angle_gamma 90.00
loop_
_atom_site_label
_atom_site_fract_x
_atom_site_fract_y
_atom_site_fract_z
Nd1 0.0000 0.5000 0.2445
Mn1 0.0000 0.0000 0.5000
Fe1 0.0000 0.0000 0.0000
Fe2 0.5000 0.5000 0.0000
Fe3 0.5000 0.5000 0.5000
Ge1 0.0000 0.5000 0.6262
Ge2 0.0000 0.5000 0.8866
# Formation energy from the elements   -455 meV/atom
# Density   7.78 Mg/m³



- The highest formation energy from the elements belongs to which entry?
  Sn3P4



- Which formula does entry 3 have?
  Nd2MnFe3Ge4



- Number 3 is which compound?
  Nd2MnFe3Ge4